(1)
The following is a DFT calculation (PBE) of an optimized crystal structure of BaReN3.

Calculated formation energy = -3.50 eV per formula unit

abc: 8.0259 8.0259 6.2412
angles: 80.71 80.71 90.67
Sites, in units of the cell vectors:
1 N 0.4218 0.8516 0.8193
2 N 0.8516 0.4218 0.3193
3 N 0.3554 0.3195 0.5094
4 N 0.9804 0.7644 0.1778
5 N 0.6805 0.6446 0.9906
6 N 0.0196 0.2356 0.8222
7 N 0.3195 0.3554 0.0094
8 N 0.6446 0.6805 0.4906
9 N 0.5782 0.1484 0.1807
10 N 0.7644 0.9804 0.6778
11 N 0.2356 0.0196 0.3222
12 N 0.1484 0.5782 0.6807
13 Ba 0.3272 0.6728 0.2500
14 Ba 0.9003 0.0997 0.2500
15 Ba 0.6728 0.3272 0.7500
16 Ba 0.0997 0.9003 0.7500
17 Re 0.3692 0.2052 0.2586
18 Re 0.2052 0.3692 0.7586
19 Re 0.6308 0.7948 0.7414
20 Re 0.7948 0.6308 0.2414

=====

(2)
The following is a DFT calculation (PBE) of an optimized crystal structure of Ba2ReN3.

Calculated formation energy = -4.73 eV per formula unit

abc: 6.6588 11.8820 13.3900
angles: 90.00 89.99 153.15
Sites, in units of the cell vectors:
1 N 0.5008 0.9105 0.3758
2 N 0.4992 0.0895 0.6242
3 N 0.5003 0.1633 0.0528
4 N 0.0000 0.5134 0.7500
5 N 0.0000 0.4866 0.2500
6 N 0.0000 0.0138 0.7500
7 N 0.4997 0.8367 0.9472
8 N 0.5003 0.3370 0.5528
9 N 0.0000 0.9862 0.2500
10 N 0.4997 0.6630 0.4472
11 N 0.4992 0.4097 0.1242
12 N 0.5008 0.5903 0.8758
13 Ba 0.4997 0.8600 0.5825
14 Ba 0.5003 0.1400 0.4175
15 Ba 0.4998 0.5654 0.6330
16 Ba 0.5002 0.0656 0.8670
17 Ba 0.5003 0.3603 0.9175
18 Ba 0.4998 0.9344 0.1330
19 Ba 0.5002 0.4346 0.3670
20 Ba 0.4997 0.6397 0.0825
21 Re 0.4999 0.2397 0.6637
22 Re 0.4999 0.2602 0.1637
23 Re 0.5001 0.7603 0.3363
24 Re 0.5001 0.7398 0.8363

=====

(3)
The following is a DFT calculation (PBE) of an optimized crystal structure of Ba3ReN3.

Calculated formation energy = -5.49 eV per formula unit

abc: 8.2796 8.2788 5.7777
angles: 90.00 90.00 120.00
Sites, in units of the cell vectors:
1 Re 0.3333 0.6666 0.2500
2 Re 0.6667 0.3334 0.7500
3 N 0.8817 0.5632 0.7500
4 N 0.4368 0.3185 0.7500
5 N 0.5632 0.6815 0.2500
6 N 0.3185 0.8816 0.2500
7 N 0.1183 0.4368 0.2500
8 N 0.6815 0.1184 0.7500
9 Ba 0.1002 0.3601 0.7500
10 Ba 0.3601 0.2601 0.2500
11 Ba 0.8998 0.6399 0.2500
12 Ba 0.6399 0.7399 0.7500
13 Ba 0.7400 0.1001 0.2500
14 Ba 0.2600 0.8999 0.7500

=====

(4)
The following is a DFT calculation (PBE) of an optimized crystal structure of Ba3Ru2N4.

Distance to the lowest polymorph of the same formula = 54 meV/atom
Magnetization = 0.000 μB per atom
Calculated formation energy = -2.90 eV per formula unit

abc: 7.7789 9.4798 5.7428
angles: 90.00 94.16 127.54
Sites, in units of the cell vectors:
1 N 0.7360 0.0640 0.4578
2 N 0.6415 0.2725 0.8924
3 N 0.7360 0.6720 0.9578
4 N 0.2640 0.9360 0.5422
5 N 0.6415 0.3691 0.3924
6 N 0.3585 0.7275 0.1076
7 N 0.2640 0.3280 0.0422
8 N 0.3585 0.6309 0.6076
9 Ba 0.0000 0.4056 0.2500
10 Ba 0.7451 0.0067 0.9549
11 Ba 0.2549 0.2615 0.5451
12 Ba 0.0000 0.5944 0.7500
13 Ba 0.7451 0.7385 0.4549
14 Ba 0.2549 0.9933 0.0451
15 Ru 0.5779 0.1601 0.5730
16 Ru 0.4221 0.8399 0.4270
17 Ru 0.4221 0.5822 0.9270
18 Ru 0.5779 0.4178 0.0730

=====

(5)
The following is a DFT calculation (PBE) of an optimized crystal structure of Ba2RuN2.

Magnetization = 0.000 μB per atom
Calculated formation energy = -2.54 eV per formula unit

abc: 4.2005 4.1987 7.2451
angles: 106.84 106.85 90.00
Sites, in units of the cell vectors:
1 N 0.3620 0.3620 0.2241
2 N 0.6380 0.6380 0.7759
3 Ru 0.5000 0.5000 0.5000
4 Ba 0.1390 0.1390 0.7780
5 Ba 0.8610 0.8610 0.2220

=====

(6)
The following is a DFT calculation (PBE) of an optimized crystal structure of Ba3Ru2N4.

Distance to the lowest polymorph of the same formula = 0 meV/atom
Magnetization = 0.082 μB per atom
Calculated formation energy = -3.39 eV per formula unit

abc: 6.4968 10.5971 9.7974
angles: 90.00 90.00 90.00
Sites, in units of the cell vectors:
1 Ru 0.1786 0.2500 0.2500
2 Ru 0.7500 0.0000 0.7601
3 Ru 0.7500 0.5000 0.7399
4 Ru 0.3214 0.7500 0.2500
5 Ru 0.2500 0.5000 0.2601
6 Ru 0.2500 0.0000 0.2399
7 Ru 0.6786 0.2500 0.7500
8 Ru 0.8214 0.7500 0.7500
9 N 0.0006 0.0979 0.3094
10 N 0.1007 0.6452 0.3413
11 N 0.6007 0.6452 0.6587
12 N 0.8993 0.3548 0.6587
13 N 0.0006 0.4021 0.1906
14 N 0.8993 0.1452 0.8413
15 N 0.9994 0.9021 0.6906
16 N 0.6007 0.8548 0.8413
17 N 0.3993 0.1452 0.1587
18 N 0.5006 0.0979 0.6906
19 N 0.4994 0.9021 0.3094
20 N 0.1007 0.8548 0.1587
21 N 0.9994 0.5979 0.8094
22 N 0.5006 0.4021 0.8094
23 N 0.3993 0.3548 0.3413
24 N 0.4994 0.5979 0.1906
25 Ba 0.3712 0.8429 0.5799
26 Ba 0.2500 0.0000 0.9105
27 Ba 0.8712 0.6571 0.0799
28 Ba 0.7500 0.5000 0.4105
29 Ba 0.3712 0.6571 0.9201
30 Ba 0.7500 0.0000 0.0895
31 Ba 0.2500 0.5000 0.5895
32 Ba 0.6288 0.1571 0.4201
33 Ba 0.1288 0.1571 0.5799
34 Ba 0.1288 0.3429 0.9201
35 Ba 0.8712 0.8429 0.4201
36 Ba 0.6288 0.3429 0.0799

=====

(7)
The following is a DFT calculation (PBE) of an optimized crystal structure of BaRu2N2.

Magnetization = 0.000 μB per atom
Calculated formation energy = -0.74 eV per formula unit

abc: 6.6976 6.5455 9.6823
angles: 90.00 43.71 60.75
Sites, in units of the cell vectors:
1 N 0.3123 0.5000 0.8439
2 N 0.6877 0.8123 0.6561
3 N 0.3123 0.1877 0.3439
4 N 0.6877 0.5000 0.1561
5 Ba 0.0000 0.0000 0.2500
6 Ba 0.0000 0.0000 0.7500
7 Ru 0.7225 0.5000 0.6388
8 Ru 0.7225 0.7775 0.1388
9 Ru 0.2775 0.2225 0.8612
10 Ru 0.2775 0.5000 0.3612

=====

(8)
The following is a DFT calculation (PBE) of an optimized crystal structure of Ba4RuN4.

Magnetization = 0.000 μB per atom
Calculated formation energy = -4.22 eV per formula unit

abc: 7.0284 7.0895 9.2746
angles: 74.17 82.44 64.17
Sites, in units of the cell vectors:
1 Ba 0.7095 0.2182 0.9623
2 Ba 0.2676 0.4774 0.4384
3 Ba 0.8200 0.6115 0.1316
4 Ba 0.7324 0.5226 0.5616
5 Ba 0.1800 0.3885 0.8684
6 Ba 0.2905 0.7818 0.0377
7 Ba 0.2266 0.9345 0.6304
8 Ba 0.7734 0.0655 0.3696
9 N 0.3281 0.3649 0.1507
10 N 0.6719 0.6351 0.8493
11 N 0.5548 0.1350 0.6684
12 N 0.9694 0.8341 0.8829
13 N 0.0294 0.2734 0.3975
14 N 0.9706 0.7266 0.6025
15 N 0.4452 0.8650 0.3316
16 N 0.0306 0.1659 0.1171
17 Ru 0.2426 0.1374 0.2508
18 Ru 0.7574 0.8626 0.7492

=====

(9)
The following is a DFT calculation (PBE) of an optimized crystal structure of Ba2RuN3.

Magnetization = 0.117 μB per atom
Calculated formation energy = -3.09 eV per formula unit

abc: 6.6778 11.9331 13.1372
angles: 90.00 90.00 153.32
Sites, in units of the cell vectors:
1 N 0.4998 0.3381 0.5520
2 N 0.5004 0.4169 0.1293
3 N 0.0000 0.4890 0.2500
4 N 0.5002 0.8383 0.9480
5 N 0.5002 0.6619 0.4480
6 N 0.4996 0.9164 0.3707
7 N 0.4996 0.5831 0.8707
8 N 0.0000 0.9892 0.2500
9 N 0.0000 0.5110 0.7500
10 N 0.5004 0.0836 0.6293
11 N 0.4998 0.1617 0.0520
12 N 0.0000 0.0108 0.7500
13 Ba 0.4999 0.3605 0.9194
14 Ba 0.5002 0.5638 0.6371
15 Ba 0.4998 0.4362 0.3629
16 Ba 0.4998 0.0637 0.8629
17 Ba 0.5001 0.8606 0.5806
18 Ba 0.5001 0.6395 0.0806
19 Ba 0.5002 0.9363 0.1371
20 Ba 0.4999 0.1394 0.4194
21 Ru 0.5001 0.2388 0.6646
22 Ru 0.5001 0.2612 0.1646
23 Ru 0.4999 0.7612 0.3354
24 Ru 0.4999 0.7388 0.8354

=====

(10)
The following is a DFT calculation (PBE) of an optimized crystal structure of BaSb2N4.

Magnetization = 0.000 μB per atom
Calculated formation energy = -0.22 eV per formula unit

abc: 11.5203 11.5203 11.5203
angles: 90.00 90.00 90.00
Sites, in units of the cell vectors:
1 Sb 0.7034 0.1559 0.8934
2 Sb 0.2966 0.8441 0.1066
3 Sb 0.2966 0.6559 0.6066
4 Sb 0.1559 0.8934 0.7034
5 Sb 0.3934 0.7966 0.8441
6 Sb 0.8934 0.7966 0.6559
7 Sb 0.6559 0.8934 0.7966
8 Sb 0.7966 0.8441 0.3934
9 Sb 0.8441 0.3934 0.7966
10 Sb 0.3441 0.3934 0.7034
11 Sb 0.3934 0.7034 0.3441
12 Sb 0.1066 0.2034 0.3441
13 Sb 0.6559 0.6066 0.2966
14 Sb 0.1066 0.2966 0.8441
15 Sb 0.6066 0.2034 0.1559
16 Sb 0.7966 0.6559 0.8934
17 Sb 0.7034 0.3441 0.3934
18 Sb 0.3441 0.1066 0.2034
19 Sb 0.6066 0.2966 0.6559
20 Sb 0.1559 0.6066 0.2034
21 Sb 0.8934 0.7034 0.1559
22 Sb 0.8441 0.1066 0.2966
23 Sb 0.2034 0.3441 0.1066
24 Sb 0.2034 0.1559 0.6066
25 N 0.3723 0.6417 0.7660
26 N 0.9243 0.7676 0.4864
27 N 0.5757 0.2676 0.4864
28 N 0.7676 0.0136 0.4243
29 N 0.9864 0.9243 0.7324
30 N 0.2324 0.9864 0.5757
31 N 0.3583 0.2660 0.1277
32 N 0.6417 0.7660 0.3723
33 N 0.7324 0.9864 0.9243
34 N 0.0136 0.0757 0.2676
35 N 0.7676 0.4864 0.9243
36 N 0.2660 0.1277 0.3583
37 N 0.2340 0.6277 0.3583
38 N 0.5757 0.2324 0.9864
39 N 0.1277 0.3583 0.2660
40 N 0.7340 0.6277 0.1417
41 N 0.2660 0.3723 0.8583
42 N 0.8583 0.2340 0.8723
43 N 0.8583 0.2660 0.3723
44 N 0.2340 0.8723 0.8583
45 N 0.4243 0.7324 0.5136
46 N 0.7660 0.1277 0.1417
47 N 0.2324 0.5136 0.0757
48 N 0.4243 0.7676 0.0136
49 N 0.0757 0.2676 0.0136
50 N 0.6417 0.7340 0.8723
51 N 0.0136 0.4243 0.7676
52 N 0.1277 0.1417 0.7660
53 N 0.4864 0.5757 0.2676
54 N 0.3583 0.2340 0.6277
55 N 0.6277 0.1417 0.7340
56 N 0.9864 0.5757 0.2324
57 N 0.7324 0.5136 0.4243
58 N 0.2676 0.4864 0.5757
59 N 0.7340 0.8723 0.6417
60 N 0.7660 0.3723 0.6417
61 N 0.0757 0.2324 0.5136
62 N 0.8723 0.6417 0.7340
63 N 0.5136 0.4243 0.7324
64 N 0.6277 0.3583 0.2340
65 N 0.8723 0.8583 0.2340
66 N 0.4864 0.9243 0.7676
67 N 0.2676 0.0136 0.0757
68 N 0.1417 0.7660 0.1277
69 N 0.1417 0.7340 0.6277
70 N 0.9243 0.7324 0.9864
71 N 0.3723 0.8583 0.2660
72 N 0.5136 0.0757 0.2324
73 Ba 0.6235 0.8765 0.1235
74 Ba 0.3765 0.1235 0.8765
75 Ba 0.3765 0.3765 0.3765
76 Ba 0.8765 0.1235 0.6235
77 Ba 0.0000 0.0000 0.0000
78 Ba 0.1235 0.8765 0.3765
79 Ba 0.0000 0.5000 0.5000
80 Ba 0.8765 0.3765 0.1235
81 Ba 0.6235 0.6235 0.6235
82 Ba 0.5000 0.5000 0.0000
83 Ba 0.5000 0.0000 0.5000
84 Ba 0.1235 0.6235 0.8765

=====

(11)
The following is a DFT calculation (PBE) of an optimized crystal structure of Ba3Sc2N4.

Distance to the lowest polymorph of the same formula = 32 meV/atom
Magnetization = 0.000 μB per atom
Calculated formation energy = -9.83 eV per formula unit

abc: 7.6452 9.8861 6.5723
angles: 90.00 92.77 130.28
Sites, in units of the cell vectors:
1 N 0.2405 0.3441 0.9996
2 N 0.6165 0.2448 0.8920
3 N 0.7595 0.6559 0.0004
4 N 0.3835 0.6283 0.6080
5 N 0.2405 0.8964 0.4996
6 N 0.6165 0.3717 0.3920
7 N 0.7595 0.1036 0.5004
8 N 0.3835 0.7552 0.1080
9 Ba 0.2279 0.2795 0.5802
10 Ba 0.2279 0.9484 0.0802
11 Ba 0.7721 0.7205 0.4198
12 Ba 0.0000 0.5853 0.7500
13 Ba 0.0000 0.4147 0.2500
14 Ba 0.7721 0.0516 0.9198
15 Sc 0.5456 0.3842 0.0748
16 Sc 0.4544 0.8386 0.4252
17 Sc 0.4544 0.6158 0.9252
18 Sc 0.5456 0.1614 0.5748

=====

(12)
The following is a DFT calculation (PBE) of an optimized crystal structure of Ba3Sc2N4.

Distance to the lowest polymorph of the same formula = 0 meV/atom
Magnetization = 0.000 μB per atom
Calculated formation energy = -10.12 eV per formula unit

abc: 6.4895 11.2087 10.4511
angles: 90.00 90.00 90.00
Sites, in units of the cell vectors:
1 N 0.9817 0.9001 0.6617
2 N 0.4817 0.9001 0.3383
3 N 0.3623 0.3568 0.3687
4 N 0.8623 0.1432 0.8687
5 N 0.1377 0.8568 0.1313
6 N 0.0183 0.0999 0.3383
7 N 0.6377 0.8568 0.8687
8 N 0.1377 0.6432 0.3687
9 N 0.9817 0.5999 0.8383
10 N 0.5183 0.4001 0.8383
11 N 0.0183 0.4001 0.1617
12 N 0.5183 0.0999 0.6617
13 N 0.8623 0.3568 0.6313
14 N 0.4817 0.5999 0.1617
15 N 0.3623 0.1432 0.1313
16 N 0.6377 0.6432 0.6313
17 Ba 0.7500 0.5000 0.4108
18 Ba 0.8824 0.8443 0.4147
19 Ba 0.1176 0.1557 0.5853
20 Ba 0.8824 0.6557 0.0853
21 Ba 0.7500 0.0000 0.0892
22 Ba 0.2500 0.5000 0.5892
23 Ba 0.6176 0.1557 0.4147
24 Ba 0.3824 0.8443 0.5853
25 Ba 0.6176 0.3443 0.0853
26 Ba 0.1176 0.3443 0.9147
27 Ba 0.3824 0.6557 0.9147
28 Ba 0.2500 0.0000 0.9108
29 Sc 0.6618 0.2500 0.7500
30 Sc 0.2500 0.5000 0.2593
31 Sc 0.3382 0.7500 0.2500
32 Sc 0.2500 0.0000 0.2407
33 Sc 0.8382 0.7500 0.7500
34 Sc 0.7500 0.0000 0.7593
35 Sc 0.7500 0.5000 0.7407
36 Sc 0.1618 0.2500 0.2500

=====

What is the calculated formation energy in the fourth record? -2.90 eV per formula unit

=====

What is the calculated formation energy in the fourth record? -2.90 eV per formula unit

=====

Please write out number 4 again, unchanged.
The following is a DFT calculation (PBE) of an optimized crystal structure of Ba3Ru2N4.

Distance to the lowest polymorph of the same formula = 54 meV/atom
Magnetization = 0.000 μB per atom
Calculated formation energy = -2.90 eV per formula unit

abc: 7.7789 9.4798 5.7428
angles: 90.00 94.16 127.54
Sites, in units of the cell vectors:
1 N 0.7360 0.0640 0.4578
2 N 0.6415 0.2725 0.8924
3 N 0.7360 0.6720 0.9578
4 N 0.2640 0.9360 0.5422
5 N 0.6415 0.3691 0.3924
6 N 0.3585 0.7275 0.1076
7 N 0.2640 0.3280 0.0422
8 N 0.3585 0.6309 0.6076
9 Ba 0.0000 0.4056 0.2500
10 Ba 0.7451 0.0067 0.9549
11 Ba 0.2549 0.2615 0.5451
12 Ba 0.0000 0.5944 0.7500
13 Ba 0.7451 0.7385 0.4549
14 Ba 0.2549 0.9933 0.0451
15 Ru 0.5779 0.1601 0.5730
16 Ru 0.4221 0.8399 0.4270
17 Ru 0.4221 0.5822 0.9270
18 Ru 0.5779 0.4178 0.0730

=====

The highest calculated formation energy belongs to which entry? BaSb2N4